# TcAgO2 PBE-GGA relaxed
data_TcAgO2
_symmetry_space_group_name_H-M 'P 1'
_symmetry_Int_Tables_number 1
_cell_length_a 7.3393
_cell_length_b 7.3393
_cell_length_c 7.3393
_cell_angle_alpha 131.35
_cell_angle_beta 131.35
_cell_angle_gamma 71.25
loop_
_symmetry_equiv_pos_as_xyz
'x,y,z'
loop_
_atom_site_label
_atom_site_type_symbol
_atom_site_fract_x
_atom_site_fract_y
_atom_site_fract_z
Tc1 Tc 0.0000 0.0000 0.0000
Tc2 Tc 0.0000 0.0000 0.5000
Tc3 Tc 0.0000 0.5000 0.0000
Tc4 Tc 0.5000 0.0000 0.5000
Ag1 Ag 0.0000 0.5000 0.5000
Ag2 Ag 0.5000 0.0000 0.0000
Ag3 Ag 0.5000 0.5000 0.0000
Ag4 Ag 0.5000 0.5000 0.5000
O1 O 0.1456 0.6971 0.4485
O2 O 0.2514 0.3029 0.9485
O3 O 0.3029 0.2514 0.4485
O4 O 0.3029 0.8544 0.0515
O5 O 0.6971 0.1456 0.9485
O6 O 0.6971 0.7486 0.5515
O7 O 0.7486 0.6971 0.0515
O8 O 0.8544 0.3029 0.5515
# **Total magnetization**: 7.899 μB/cell
# **Formation energy from the elements**: -0.6246 eV per atom
# **Space group**: I4_1/amd (141)
# **Energy with MP2020 corrections**: -6.40 eV per atom